No. 1
## Mg14FeSn (PBE)

Data for a geometry-optimized Mg14FeSn structure.

- ΔH_f (0 K) (eV per atom) = 0.0455
- electronic total energy (eV per atom) = -2.13
- energy above the lowest structure with this stoichiometry (meV per atom) = 0.0

Unit cell a=10.2431 b=6.2849 c=10.8611 alpha=90.00 beta=90.00 gamma=90.00
Closest atoms and distances in Å follow each position.
Space group Amm2 (No. 38)
Inequivalent atoms, fractional coordinates:
Mg  0.0000  0.0000  0.0000 (multiplicity 2)  12 Mg 3.13-3.17
Mg  0.0000  0.0000  0.4996 (multiplicity 2)  12 Mg 3.12-3.21
Mg  0.0000  0.2493  0.2506 (multiplicity 4)  12 Mg 3.11-3.21
Mg  0.2469  0.0000  0.6674 (multiplicity 4)  11 Mg 3.11-3.16, 1 Sn 3.15
Mg  0.2565  0.0000  0.1627 (multiplicity 4)  1 Fe 3.05, 11 Mg 3.06-3.22
Mg  0.2577  0.2434  0.9189 (multiplicity 8)  1 Fe 3.05, 10 Mg 3.06-3.23, 1 Sn 3.10
Mg  0.5000  0.2496  0.2487 (multiplicity 4)  8 Mg 3.09-3.16, 2 Sn 3.10-3.17, 2 Fe 3.12-3.15
Fe  0.5000  0.0000  0.0003 (multiplicity 2)  10 Mg 3.05-3.15, 2 Sn 3.14
Sn  0.5000  0.0000  0.5025 (multiplicity 2)  10 Mg 3.10-3.17, 2 Fe 3.14



No. 2
## K4Al2O (PBE)

Data for a geometry-optimized K4Al2O structure.

- ΔH_f (0 K) (eV per atom) = 0.0174
- electronic total energy (eV per atom) = -2.30

Unit cell a=12.8972 b=12.8972 c=12.8972 alpha=90.00 beta=90.00 gamma=90.00
Closest atoms and distances in Å follow each position.
Space group Fd-3m (No. 227, origin choice 2)
Inequivalent atoms, fractional coordinates:
K  0.0031  0.0031  0.2469 (multiplicity 32)  1 O 2.86
Al  0.0000  0.0000  0.5000 (multiplicity 16)  2 O 2.79
O  0.1250  0.1250  0.6250 (multiplicity 8)  4 Al 2.79, 4 K 2.86



No. 3
## ZrNF5 (PBE)

Data for a geometry-optimized ZrNF5 structure.

- ΔH_f (0 K) (eV per atom) = -2.5115
- electronic total energy (eV per atom) = -5.96

Unit cell a=8.0915 b=8.5173 c=8.5266 alpha=90.00 beta=120.49 gamma=90.00
Closest atoms and distances in Å follow each position.
Space group P2_1/c (No. 14)
Inequivalent atoms, fractional coordinates:
Zr  0.0006  0.2397  0.2464 (multiplicity 4)  4 F 1.94-2.08
N  0.4867  0.0090  0.2407 (multiplicity 4)  1 F 1.35
F  0.0006  0.2477  0.0047 (multiplicity 4)  2 Zr 2.06-2.20
F  0.0012  0.5039  0.7491 (multiplicity 4)  2 Zr 2.08-2.18
F  0.2741  0.7361  0.8543 (multiplicity 4)  1 Zr 1.94
F  0.2752  0.2352  0.9100 (multiplicity 4)  1 Zr 1.94
F  0.3210  0.9999  0.6544 (multiplicity 4)  1 N 1.35



No. 4
## CaPbI4 (PBE)

Data for a geometry-optimized CaPbI4 structure.

- ΔH_f (0 K) (eV per atom) = -1.3579
- electronic total energy (eV per atom) = -3.07

Unit cell a=8.0403 b=14.6037 c=9.4547 alpha=90.00 beta=90.85 gamma=90.00
Closest atoms and distances in Å follow each position.
Space group P2_1/c (No. 14)
Inequivalent atoms, fractional coordinates:
Ca  0.0969  0.1271  0.1357 (multiplicity 4)  6 I 3.06-3.26
Pb  0.3911  0.6366  0.6491 (multiplicity 4)  5 I 3.08-3.40
I  0.0696  0.7416  0.1070 (multiplicity 4)  1 Pb 3.16, 2 Ca 3.26
I  0.2379  0.5023  0.8623 (multiplicity 4)  1 Ca 3.06, 1 Pb 3.08
I  0.2389  0.5040  0.3940 (multiplicity 4)  2 Ca 3.20-3.25, 1 Pb 3.31
I  0.4065  0.2466  0.6072 (multiplicity 4)  1 Ca 3.11, 2 Pb 3.23-3.40



No. 5
## SmEr3Fe34 (PBE)

Data for a geometry-optimized SmEr3Fe34 structure.

- ΔH_f (0 K) (eV per atom) = -0.0059
- electronic total energy (eV per atom) = -8.07

Unit cell a=8.4303 b=8.4303 c=8.2637 alpha=90.00 beta=90.00 gamma=120.00
Closest atoms and distances in Å follow each position.
Space group P-6m2 (No. 187)
Inequivalent atoms, fractional coordinates:
Sm  0.0000  0.0000  0.0000 (multiplicity 1)  20 Fe 2.96-3.20
Er  0.3333  0.6667  0.0000 (multiplicity 1)  18 Fe 2.93-3.25
Er  0.3333  0.6667  0.5000 (multiplicity 1)  18 Fe 2.93-3.24
Er  0.6667  0.3333  0.5000 (multiplicity 1)  20 Fe 2.95-3.18
Fe  0.0000  0.0000  0.3586 (multiplicity 2)  4 Fe 2.34-2.60
Fe  0.0013  0.5006  0.2628 (multiplicity 6)  9 Fe 2.43-2.64
Fe  0.0036  0.3032  0.5000 (multiplicity 6)  8 Fe 2.44-2.59
Fe  0.1683  0.3365  0.2387 (multiplicity 6)  9 Fe 2.43-2.65
Fe  0.3346  0.1673  0.2509 (multiplicity 6)  10 Fe 2.44-2.60
Fe  0.3693  0.0311  0.0000 (multiplicity 6)  8 Fe 2.46-2.60
Fe  0.6667  0.3333  0.1424 (multiplicity 2)  4 Fe 2.35-2.58



No. 6
## Rb2NaAl2P3O12 (PBE)

Data for a geometry-optimized Rb2NaAl2P3O12 structure.

- ΔH_f (0 K) (eV per atom) = -2.9256
- electronic total energy (eV per atom) = -6.83

Unit cell a=4.9117 b=8.3359 c=28.7291 alpha=90.00 beta=90.50 gamma=90.00
Closest atoms and distances in Å follow each position.
Space group P2_1/c (No. 14)
Inequivalent atoms, fractional coordinates:
Rb  0.2272  0.1435  0.4525 (multiplicity 4)  6 O 2.91-3.24
Rb  0.2373  0.0208  0.8291 (multiplicity 4)  10 O 3.05-3.37
Na  0.2785  0.5520  0.5469 (multiplicity 4)  6 O 2.32-2.59
Al  0.2327  0.0304  0.2924 (multiplicity 4)  5 O 1.80-1.91
Al  0.3109  0.1856  0.6046 (multiplicity 4)  4 O 1.75-1.76
P  0.1985  0.6926  0.4517 (multiplicity 4)  4 O 1.53-1.59
P  0.2571  0.6603  0.1433 (multiplicity 4)  4 O 1.52-1.60
P  0.2739  0.2151  0.7091 (multiplicity 4)  4 O 1.53-1.57
O  0.0345  0.1284  0.3378 (multiplicity 4)  1 P 1.56
O  0.0785  0.0890  0.7282 (multiplicity 4)  1 P 1.53
O  0.1136  0.2263  0.0599 (multiplicity 4)  1 P 1.59, 1 Al 1.76
O  0.1946  0.2372  0.1578 (multiplicity 4)  1 P 1.57, 1 Al 1.76
O  0.2354  0.5113  0.4577 (multiplicity 4)  1 P 1.53
O  0.2548  0.1267  0.2364 (multiplicity 4)  1 P 1.54
O  0.2672  0.6785  0.6186 (multiplicity 4)  1 P 1.52
O  0.2776  0.7101  0.9947 (multiplicity 4)  1 P 1.53
O  0.3071  0.5248  0.1050 (multiplicity 4)  1 P 1.60, 1 Al 1.75
O  0.3538  0.7476  0.9070 (multiplicity 4)  1 P 1.58, 1 Al 1.76
O  0.4272  0.6568  0.7918 (multiplicity 4)  1 P 1.55
O  0.4692  0.6457  0.1826 (multiplicity 4)  1 P 1.53



No. 7
## Rb2AgAs3Se6 (PBE)

Data for a geometry-optimized Rb2AgAs3Se6 structure.

- ΔH_f (0 K) (eV per atom) = -0.7040
- electronic total energy (eV per atom) = -3.78

Unit cell a=13.0855 b=8.0346 c=18.6039 alpha=90.00 beta=127.62 gamma=90.00
Closest atoms and distances in Å follow each position.
Space group P2_1/c (No. 14)
Inequivalent atoms, fractional coordinates:
Rb  0.0854  0.1009  0.2367 (multiplicity 4)  7 Se 3.54-3.63
Rb  0.2809  0.6281  0.6107 (multiplicity 4)  8 Se 3.55-3.93, 1 As 3.79
Ag  0.0276  0.0068  0.4270 (multiplicity 4)  4 Se 2.67-2.82
As  0.2782  0.0898  0.6519 (multiplicity 4)  3 Se 2.41-2.47
As  0.3339  0.5416  0.3628 (multiplicity 4)  3 Se 2.37-2.51
As  0.3846  0.1675  0.5062 (multiplicity 4)  3 Se 2.36-2.50
Se  0.0880  0.2425  0.0537 (multiplicity 4)  1 As 2.41
Se  0.1552  0.6699  0.2291 (multiplicity 4)  1 As 2.37
Se  0.2241  0.1060  0.9156 (multiplicity 4)  2 As 2.48-2.50
Se  0.2510  0.5691  0.9599 (multiplicity 4)  1 As 2.36
Se  0.3807  0.2048  0.8045 (multiplicity 4)  2 As 2.46-2.51
Se  0.4480  0.2386  0.6578 (multiplicity 4)  2 As 2.47



No. 8
## Ge3Ir (PBE)

Data for a geometry-optimized Ge3Ir structure.

- ΔH_f (0 K) (eV per atom) = 0.2091
- electronic total energy (eV per atom) = -5.47

Unit cell a=6.4137 b=6.4137 c=6.4137 alpha=90.00 beta=90.00 gamma=90.00
Closest atoms and distances in Å follow each position.
Space group Fm-3m (No. 225)
Inequivalent atoms, fractional coordinates:
Ge  0.0000  0.0000  0.0000 (multiplicity 4)  8 Ge 2.78
Ge  0.2500  0.2500  0.2500 (multiplicity 8)  4 Ge 2.78, 4 Ir 2.78
Ir  0.0000  0.0000  0.5000 (multiplicity 4)  8 Ge 2.78